## 1
An optimized crystal structure of SmGd3, computed with meta-GGA r2SCAN.

Computed properties:
Space group: P6_3/mmc (194)
Magnetization: 24.61 μB per formula unit

Structure (POSCAR):
```
SmGd3
1.0
7.324 0.000 0.000
-3.662 6.342 0.000
0.000 0.000 5.912
Sm Gd
2 6
Cartesian
3.662 2.114 1.478
0.000 4.228 4.434
5.504 1.051 4.434
1.819 1.050 4.434
3.662 4.242 4.434
-1.843 5.292 1.478
1.843 5.292 1.478
0.000 2.101 1.478
```

=====

## 2
An optimized crystal structure of SmGd3, computed with meta-GGA r2SCAN.

Computed properties:
Space group: I4/mmm (139)
Magnetization: 7.78 μB per formula unit

Structure (POSCAR):
```
SmGd3
1.0
5.413 2.976 -1.012
-0.566 6.019 1.625
-1.356 -5.301 3.041
Sm Gd
1 3
Cartesian
0.000 0.000 0.000
3.240 1.086 1.168
0.250 2.608 2.486
2.424 4.497 0.307
```

=====

Of them, the most stable is 1 and the least stable is 2.

=====

## 1
An optimized crystal structure of MgGeP2, computed with meta-GGA r2SCAN.

Computed properties:
Space group: I-42d (122)
Magnetization: 0.00 μB per formula unit

Structure (POSCAR):
```
MgGeP2
1.0
-0.003 7.313 3.587
-0.266 4.366 9.593
3.062 1.746 5.690
Mg Ge P
2 2 4
Cartesian
0.000 0.001 0.001
-0.134 7.670 7.486
3.060 5.402 7.484
2.928 5.757 11.383
0.601 5.860 11.454
0.662 4.863 3.674
0.732 5.282 7.445
0.528 9.098 9.478
```

=====

## 2
An optimized crystal structure of MgGeP2, computed with meta-GGA r2SCAN.

Computed properties:
Space group: P-4m2 (115)
Magnetization: 0.00 μB per formula unit

Structure (POSCAR):
```
MgGeP2
1.0
3.853 0.000 0.000
0.000 3.853 0.000
0.000 0.000 5.907
Mg Ge P
1 1 2
Cartesian
0.000 0.000 0.000
1.926 1.926 2.954
0.000 1.926 1.590
1.926 0.000 4.317
```

=====

Of them, the most stable is 1 and the least stable is 2.

=====

## 1
An optimized crystal structure of Ge3Ru2, computed with meta-GGA r2SCAN.

Computed properties:
Space group: Pbcn (60)
Magnetization: 0.00 μB per formula unit

Structure (POSCAR):
```
Ge3Ru2
1.0
-4.031 2.151 3.455
-6.095 -0.249 -6.957
-3.051 -10.621 3.054
Ge Ru
24 16
Cartesian
-4.966 -5.469 3.292
-5.464 -9.090 0.216
-5.375 -1.976 3.525
-4.454 -0.654 -0.972
-8.212 -3.250 -3.740
-7.713 0.370 -0.664
-7.802 -6.743 -3.973
-8.723 -8.065 0.524
-6.599 -6.810 5.212
-6.371 -6.394 0.471
-3.304 -0.618 2.104
-3.985 -3.368 -1.727
-6.578 -1.910 -5.661
-6.807 -2.325 -0.920
-9.873 -8.102 -2.552
-9.192 -5.352 1.279
-8.296 -5.110 -1.346
-7.782 -9.938 -2.488
-9.517 -2.642 -0.365
-6.856 0.001 -3.655
-4.882 -3.610 0.898
-5.396 1.219 2.040
-3.661 -6.078 -0.083
-6.321 -8.720 3.207
-10.192 -3.928 -2.323
-4.508 0.395 -3.131
-2.985 -4.791 1.875
-5.619 1.507 -0.371
-7.335 -3.811 0.938
-1.269 0.527 0.566
-5.842 -4.908 -1.386
-8.858 1.375 -4.068
-7.241 -6.369 2.729
-4.490 -7.496 1.893
-5.664 -1.182 1.161
-2.864 -2.143 0.277
-5.936 -2.351 -3.177
-8.688 -1.223 -2.341
-7.514 -7.538 -1.609
-10.313 -6.576 -0.725
```

=====

## 2
An optimized crystal structure of Ge3Ru2, computed with meta-GGA r2SCAN.

Computed properties:
Space group: Pcc2 (27)
Magnetization: 0.00 μB per formula unit

Structure (POSCAR):
```
Ge3Ru2
1.0
5.739 0.000 0.000
0.000 5.739 0.000
0.000 0.000 9.280
Ge Ru
12 8
Cartesian
4.747 4.742 6.959
4.745 0.996 2.320
1.999 1.246 3.844
2.000 4.496 8.481
1.252 2.001 0.794
4.487 1.999 5.434
3.740 4.491 3.845
0.994 0.997 6.959
0.992 4.742 2.318
4.484 3.739 0.792
1.253 3.738 5.433
3.740 1.247 8.485
0.000 2.870 8.136
0.000 0.000 0.003
2.869 5.739 1.148
0.000 2.869 3.497
2.869 5.738 5.789
2.870 2.869 2.322
2.870 2.869 6.962
5.739 5.738 4.643
```

=====

Of them, the most stable is 1 and the least stable is 2.

=====

## 1
An optimized crystal structure of U3Ge, computed with meta-GGA r2SCAN.

Computed properties:
Space group: Pm-3m (221)
Magnetization: 2.07 μB per formula unit

Structure (POSCAR):
```
U3Ge
1.0
-3.091 0.830 -2.853
2.163 -2.195 -2.982
-2.038 -3.589 1.164
U Ge
3 1
Cartesian
0.063 -2.892 -0.909
-2.565 -1.380 -0.845
-0.464 -0.682 -2.918
0.000 0.000 0.000
```

=====

## 2
An optimized crystal structure of U3Ge, computed with meta-GGA r2SCAN.

Computed properties:
Space group: I4/mmm (139)
Magnetization: 0.00 μB per formula unit

Structure (POSCAR):
```
U3Ge
1.0
-2.154 2.154 4.185
2.154 -2.154 4.185
2.154 2.154 -4.185
U Ge
3 1
Cartesian
0.000 2.154 2.092
2.154 0.000 2.092
0.000 0.000 4.185
0.000 0.000 0.000
```

=====

Of them, the most stable is 1 and the least stable is 2.

=====

## 1
An optimized crystal structure of Mg3H2S2O10, computed with meta-GGA r2SCAN.

Computed properties:
Space group: P4_12_12 (92)
Magnetization: 0.00 μB per formula unit

Structure (POSCAR):
```
Mg3H2S2O10
1.0
7.433 0.000 0.000
0.000 7.433 0.000
0.000 0.000 12.902
Mg H S O
12 8 8 40
Cartesian
2.962 1.065 3.148
4.471 6.367 9.599
2.651 6.679 6.373
0.754 4.782 0.078
4.782 0.754 12.824
6.679 2.651 6.529
1.065 2.962 9.754
6.367 4.471 3.303
2.794 2.794 0.000
4.639 4.639 6.451
0.922 6.511 3.226
6.511 0.922 9.677
1.326 0.770 5.043
6.107 6.662 11.494
2.946 5.043 8.268
2.390 4.487 11.085
4.487 2.390 1.817
5.043 2.946 4.634
0.770 1.326 7.859
6.662 6.107 1.408
0.015 1.858 1.581
7.418 5.575 8.032
1.859 3.731 4.807
3.702 5.574 1.644
5.574 3.702 11.258
3.731 1.859 8.096
1.858 0.015 11.321
5.575 7.418 4.870
1.060 2.887 5.686
6.373 4.546 12.137
0.829 4.777 8.911
2.656 6.604 10.442
6.604 2.656 2.460
4.777 0.829 3.991
2.887 1.060 7.216
4.546 6.373 0.765
0.925 0.995 2.373
6.508 6.437 8.824
2.721 4.641 5.598
2.792 4.712 0.853
4.712 2.792 12.049
4.641 2.721 7.304
0.995 0.925 10.529
6.437 6.508 4.078
1.912 0.088 4.679
5.520 7.345 11.130
3.629 5.629 7.905
1.804 3.804 11.449
3.804 1.804 1.454
5.629 3.629 4.998
0.088 1.912 8.223
7.345 5.520 1.772
2.697 2.913 3.946
4.735 4.520 10.397
0.803 6.414 7.172
1.019 6.630 12.182
6.630 1.019 0.721
6.414 0.803 5.730
2.913 2.697 8.956
4.520 4.735 2.505
0.870 2.762 0.773
6.563 4.671 7.224
0.954 4.586 3.998
2.847 6.478 2.453
6.478 2.847 10.449
4.586 0.954 8.904
2.762 0.870 12.129
4.671 6.563 5.678
```

=====

## 2
An optimized crystal structure of Mg3H2S2O10, computed with meta-GGA r2SCAN.

Computed properties:
Space group: C2/m (12)
Magnetization: 0.00 μB per formula unit

Structure (POSCAR):
```
Mg3H2S2O10
1.0
-1.153 1.570 -4.762
2.547 -4.365 -2.056
-4.743 -4.675 -3.189
Mg H S O
3 2 2 10
Cartesian
-2.948 -1.552 -3.975
-0.576 0.785 -2.381
0.697 -1.397 -3.409
-1.940 -5.918 -7.937
-1.408 -1.552 -2.069
-0.627 -2.544 -6.235
-2.721 -4.926 -3.772
-2.099 -6.400 -7.111
-1.249 -1.070 -2.896
0.433 -2.416 -5.193
-2.624 -3.536 -3.365
-1.484 -5.488 -4.284
0.954 -3.310 -2.649
-3.781 -5.054 -4.813
-0.725 -3.934 -6.642
-1.864 -1.982 -5.723
-4.303 -4.160 -7.358
```

=====

Of them, the most stable is 1 and the least stable is 2.

=====

## 1
An optimized crystal structure of NaH9O5, computed with meta-GGA r2SCAN.

Computed properties:
Space group: P1 (1)
Magnetization: 0.00 μB per formula unit

Structure (POSCAR):
```
NaH9O5
1.0
4.130 0.050 -0.036
1.904 7.440 -0.688
1.942 1.920 8.773
Na H O
2 18 10
Cartesian
3.985 3.094 7.362
4.033 6.317 0.687
4.583 6.985 5.089
3.400 2.413 2.980
3.120 5.605 8.172
3.870 6.125 6.862
4.029 3.281 1.201
3.247 3.783 -0.097
6.662 7.868 6.623
5.106 7.858 6.674
2.880 1.543 1.394
1.323 1.554 1.414
1.930 1.591 6.194
6.059 5.262 4.822
6.073 7.815 1.852
1.956 4.133 3.144
2.739 6.592 4.948
6.105 6.533 2.749
1.895 2.883 5.307
5.239 2.826 3.102
3.867 7.327 5.661
4.115 2.084 2.401
3.876 5.417 7.563
4.009 3.990 0.501
5.909 8.203 7.147
2.082 1.208 0.907
1.909 2.588 6.243
6.096 6.818 1.808
6.100 6.147 4.438
1.875 3.287 3.602
```

=====

## 2
An optimized crystal structure of NaH9O5, computed with meta-GGA r2SCAN.

Computed properties:
Space group: P1 (1)
Magnetization: 0.00 μB per formula unit

Structure (POSCAR):
```
NaH9O5
1.0
-0.019 -3.454 -2.223
-2.109 -5.554 5.029
-9.030 -1.615 -0.875
Na H O
2 18 10
Cartesian
-2.892 -6.376 2.481
-8.154 -4.132 -0.737
-3.572 -3.477 -1.936
-3.868 -5.426 -1.246
-7.448 -7.138 2.730
-2.207 -4.742 0.039
-1.133 -4.580 1.193
-9.690 -4.524 1.485
-8.693 -5.711 1.877
-1.978 -2.724 -0.830
-1.951 -1.404 0.010
-9.216 -8.999 1.813
-9.249 -7.679 2.637
-3.928 -3.810 2.313
-4.824 -7.994 1.145
-6.541 -1.883 -0.448
-6.830 -7.413 0.660
-5.938 -2.664 0.700
-3.870 -3.317 0.121
-7.173 -5.409 3.423
-3.110 -3.954 -1.234
-8.103 -6.568 3.179
-1.741 -5.227 0.749
-9.057 -5.191 1.105
-1.379 -1.978 -0.561
-9.812 -8.444 2.350
-3.868 -4.356 3.142
-6.827 -2.397 0.354
-4.245 -2.894 0.947
-6.586 -8.040 1.355
```

=====

## 3
An optimized crystal structure of NaH9O5, computed with meta-GGA r2SCAN.

Computed properties:
Space group: P2_12_12_1 (19)
Magnetization: 0.00 μB per formula unit

Structure (POSCAR):
```
NaH9O5
1.0
6.202 0.000 0.000
0.000 6.106 0.000
0.000 0.000 12.847
Na H O
4 36 20
Cartesian
3.155 1.519 9.638
3.048 4.572 9.632
0.053 1.534 3.208
6.149 4.588 3.215
5.682 1.099 12.210
0.520 4.152 7.060
2.581 1.955 0.637
3.621 5.008 5.786
2.647 5.990 12.024
3.556 2.937 7.245
5.748 3.169 0.822
0.455 0.116 5.601
1.210 0.155 11.483
4.992 3.208 7.787
4.311 2.898 1.364
1.891 5.951 5.060
5.329 6.068 10.584
0.873 3.015 8.686
2.228 3.091 2.262
3.974 0.038 4.161
5.428 0.082 8.967
0.774 3.136 10.302
2.327 2.971 3.879
3.875 6.024 2.544
2.689 6.043 7.201
3.514 2.990 12.069
5.790 3.116 5.646
0.413 0.063 0.778
1.262 0.155 7.823
4.940 3.208 11.446
4.363 2.898 5.023
1.839 5.951 1.400
5.855 1.478 7.070
0.347 4.531 12.200
2.754 1.575 5.776
3.449 4.628 0.647
4.860 0.295 6.612
1.343 3.349 12.658
1.759 2.758 6.234
4.444 5.811 0.189
5.781 0.136 12.222
0.421 3.189 7.048
2.680 2.917 0.625
3.523 5.971 5.798
2.148 0.060 11.198
4.054 3.113 8.072
5.250 2.993 1.649
0.953 6.046 4.774
4.847 5.993 9.720
1.355 2.940 9.550
1.746 3.166 3.126
4.456 0.113 3.297
2.188 0.001 8.066
4.014 3.054 11.203
5.289 3.052 4.780
0.913 6.105 1.643
5.742 0.508 7.072
0.460 3.562 12.198
2.641 2.545 5.775
3.561 5.598 0.648
```

=====

Of them, the most stable is 3 and the least stable is 1.

=====

## 1
An optimized crystal structure of HPd, computed with meta-GGA r2SCAN.

Computed properties:
Space group: P6_3mc (186)
Magnetization: 0.00 μB per formula unit

Structure (POSCAR):
```
HPd
1.0
1.461 -2.531 0.000
1.461 2.531 0.000
0.000 0.000 5.061
H Pd
2 2
Cartesian
0.000 0.000 0.048
1.461 0.844 2.579
0.000 0.000 1.849
1.461 0.844 4.380
```

=====

## 2
An optimized crystal structure of HPd, computed with meta-GGA r2SCAN.

Computed properties:
Space group: Fm-3m (225)
Magnetization: 0.00 μB per formula unit

Structure (POSCAR):
```
HPd
1.0
2.516 0.000 1.452
0.839 2.372 1.452
0.000 0.000 2.905
H Pd
1 1
Cartesian
0.000 0.000 0.000
1.677 1.186 2.905
```

=====

Of them, the most stable is 1 and the least stable is 2.